1.
Entry from the Materials Project database: a geometry-optimized Li4Ti3V3Sn2O16 structure (PBE+U).

Structure (POSCAR):
```
Li4Ti3V3Sn2O16
1.0
-5.914 -1.002 0.424
-2.740 -3.570 -3.988
1.624 -7.850 5.737
O Li V Ti Sn
16 4 3 3 2
Direct
0.505 0.964 0.657
0.473 0.035 0.160
0.005 0.005 0.695
0.518 0.518 0.666
0.035 0.473 0.160
0.166 0.166 0.896
0.652 0.652 0.897
0.844 0.327 0.399
0.679 0.169 0.901
0.843 0.843 0.403
0.964 0.505 0.657
0.004 0.004 0.192
0.169 0.679 0.901
0.327 0.327 0.394
0.483 0.483 0.163
0.327 0.844 0.399
0.332 0.332 0.602
0.666 0.666 0.104
0.003 0.003 0.509
0.998 0.998 0.007
0.824 0.824 0.788
0.659 0.171 0.287
0.171 0.659 0.287
0.833 0.342 0.785
0.342 0.833 0.785
0.170 0.170 0.282
0.338 0.338 0.010
0.669 0.669 0.506
```

Raw total energy, eV per atom: -7.33
Calculated formation energy, meV per atom: -2701.0

2.
Entry from the Materials Project database: a geometry-optimized Li2FeCo3O8 structure (PBE+U).

Structure (POSCAR):
```
Li2FeCo3O8
1.0
0.753 5.525 0.905
-0.851 -3.486 4.363
8.964 -1.334 0.682
O Co Li Fe
16 6 4 2
Direct
0.000 0.000 0.306
0.522 0.478 0.841
0.478 0.956 0.341
0.522 0.044 0.841
0.168 0.832 0.599
0.336 0.168 0.099
0.956 0.478 0.841
0.664 0.832 0.599
0.044 0.522 0.341
0.832 0.664 0.099
0.832 0.168 0.099
0.478 0.522 0.341
0.000 0.000 0.806
0.333 0.667 0.107
0.667 0.333 0.607
0.168 0.336 0.599
0.829 0.658 0.713
0.829 0.171 0.713
0.171 0.829 0.213
0.171 0.342 0.213
0.342 0.171 0.713
0.658 0.829 0.213
0.667 0.333 0.394
0.333 0.667 0.894
0.000 0.000 0.498
0.000 0.000 0.998
0.667 0.333 0.990
0.333 0.667 0.490
```

Raw total energy, eV per atom: -5.81
Calculated formation energy, meV per atom: -1486.4
E above lowest polymorph, kJ/mol of formula units: 109.9

3.
Entry from the Materials Project database: a geometry-optimized CrAsO4 structure (PBE+U).

Structure (POSCAR):
```
CrAsO4
1.0
4.138 4.909 1.546
5.158 -2.238 7.405
8.644 -1.959 -2.809
As O Cr
6 24 6
Direct
0.176 0.324 0.824
0.824 0.676 0.176
0.176 0.824 0.324
0.313 0.250 0.250
0.824 0.176 0.676
0.687 0.750 0.750
0.904 0.355 0.928
0.471 0.120 0.380
0.529 0.620 0.880
0.471 0.380 0.120
0.689 0.154 0.883
0.686 0.145 0.572
0.311 0.117 0.846
0.774 0.654 0.383
0.904 0.928 0.355
0.096 0.645 0.072
0.314 0.428 0.855
0.226 0.617 0.346
0.930 0.644 0.644
0.314 0.855 0.428
0.282 0.144 0.144
0.226 0.346 0.617
0.070 0.356 0.356
0.774 0.383 0.654
0.529 0.880 0.620
0.311 0.846 0.117
0.686 0.572 0.145
0.096 0.072 0.645
0.718 0.856 0.856
0.689 0.883 0.154
0.385 0.115 0.615
0.615 0.385 0.885
0.385 0.615 0.115
0.615 0.885 0.385
0.500 0.000 0.000
0.000 0.500 0.500
```

Raw total energy, eV per atom: -6.86
Calculated formation energy, meV per atom: -1968.5

4.
Entry from the Materials Project database: a geometry-optimized NaEuSbWO6 structure (PBE+U).

Structure (POSCAR):
```
NaEuSbWO6
1.0
-4.940 0.081 -3.291
-5.294 -0.756 2.575
-3.774 4.562 0.423
O Na Eu Sb W
6 1 1 1 1
Direct
0.267 0.267 0.733
0.733 0.733 0.267
0.267 0.733 0.733
0.733 0.267 0.733
0.733 0.267 0.267
0.267 0.733 0.267
0.750 0.750 0.750
0.250 0.250 0.250
0.000 0.000 0.000
0.500 0.500 0.500
```

Raw total energy, eV per atom: -7.18
Calculated formation energy, meV per atom: -2196.2

5.
Entry from the Materials Project database: a geometry-optimized Mn3O2F4 structure (PBE+U).

Structure (POSCAR):
```
Mn3O2F4
1.0
4.887 -9.719 0.000
4.828 4.830 0.000
0.000 0.000 3.136
O Mn F
4 6 8
Direct
0.137 0.068 0.500
0.667 0.023 0.000
0.197 0.598 0.500
0.667 0.644 0.000
0.667 0.833 0.500
0.325 0.163 0.500
0.667 0.333 0.000
0.008 0.504 0.500
0.315 0.657 0.000
0.019 0.009 0.000
0.997 0.694 0.000
0.336 0.972 0.000
0.445 0.722 0.500
0.526 0.263 0.500
0.889 0.944 0.500
0.997 0.303 0.000
0.807 0.404 0.500
0.336 0.364 0.000
```

Raw total energy, eV per atom: -6.58
Calculated formation energy, meV per atom: -2494.5
E above lowest polymorph, kJ/mol of formula units: 40.6

6.
Entry from the Materials Project database: a geometry-optimized Cr4Xe5F44 structure (PBE+U).

Structure (POSCAR):
```
Cr4Xe5F44
1.0
12.318 0.000 0.000
0.000 16.395 0.000
0.000 0.000 17.242
F Cr Xe
176 16 20
Direct
0.859 0.068 0.189
0.754 0.816 0.597
0.726 0.662 0.305
0.493 0.573 0.783
0.993 0.573 0.717
0.413 0.605 0.511
0.802 0.302 0.456
0.900 0.795 0.888
0.026 0.806 0.651
0.400 0.795 0.612
0.507 0.073 0.717
0.418 0.039 0.178
0.697 0.010 0.315
0.726 0.838 0.805
0.999 0.838 0.036
0.179 0.073 0.885
0.226 0.662 0.195
0.859 0.432 0.689
0.149 0.121 0.663
0.433 0.883 0.735
0.240 0.094 0.057
0.837 0.058 0.015
0.600 0.205 0.388
0.817 0.378 0.228
0.499 0.838 0.464
0.683 0.622 0.728
0.089 0.713 0.949
0.760 0.906 0.943
0.254 0.816 0.903
0.100 0.205 0.112
0.082 0.961 0.678
0.933 0.883 0.765
0.067 0.383 0.735
0.474 0.194 0.151
0.909 0.216 0.197
0.007 0.073 0.783
0.863 0.807 0.205
0.968 0.563 0.412
0.999 0.662 0.536
0.587 0.105 0.989
0.246 0.316 0.903
0.179 0.427 0.385
0.526 0.806 0.849
0.968 0.937 0.912
0.317 0.378 0.272
0.918 0.039 0.322
0.507 0.427 0.217
0.091 0.716 0.303
0.409 0.216 0.303
0.567 0.383 0.765
0.589 0.713 0.551
0.260 0.594 0.057
0.100 0.537 0.912
0.411 0.213 0.949
0.274 0.338 0.695
0.821 0.573 0.615
0.302 0.302 0.044
0.532 0.437 0.912
0.837 0.442 0.515
0.532 0.063 0.412
0.141 0.568 0.311
0.679 0.073 0.615
0.246 0.184 0.403
0.001 0.162 0.964
0.226 0.838 0.695
0.183 0.622 0.772
0.468 0.937 0.588
0.400 0.037 0.912
0.274 0.162 0.195
0.803 0.990 0.815
0.754 0.684 0.097
0.400 0.705 0.112
0.591 0.716 0.197
0.697 0.490 0.815
0.909 0.284 0.697
0.303 0.990 0.685
0.474 0.306 0.651
0.911 0.287 0.051
0.817 0.122 0.728
0.900 0.463 0.088
0.746 0.184 0.097
0.851 0.621 0.837
0.582 0.961 0.822
0.740 0.406 0.943
0.591 0.784 0.697
0.100 0.963 0.412
0.163 0.942 0.985
0.363 0.807 0.295
0.321 0.927 0.385
0.100 0.295 0.612
0.087 0.395 0.011
0.468 0.563 0.088
0.501 0.338 0.036
0.026 0.694 0.151
0.303 0.510 0.185
0.032 0.437 0.588
0.641 0.932 0.689
0.400 0.463 0.412
0.663 0.558 0.015
0.974 0.194 0.349
0.499 0.662 0.964
0.321 0.573 0.885
0.197 0.010 0.185
0.337 0.058 0.485
0.913 0.605 0.989
0.649 0.121 0.837
0.637 0.193 0.705
0.418 0.461 0.678
0.803 0.510 0.315
0.740 0.094 0.443
0.698 0.698 0.956
0.679 0.427 0.115
0.198 0.698 0.544
0.913 0.895 0.489
0.900 0.705 0.388
0.774 0.338 0.805
0.974 0.306 0.849
0.746 0.316 0.597
0.007 0.427 0.283
0.363 0.693 0.795
0.032 0.063 0.088
0.359 0.432 0.811
0.089 0.787 0.449
0.141 0.932 0.811
0.197 0.490 0.685
0.802 0.198 0.956
0.240 0.406 0.557
0.526 0.694 0.349
0.137 0.307 0.295
0.501 0.162 0.536
0.087 0.105 0.511
0.409 0.284 0.803
0.567 0.117 0.265
0.198 0.802 0.044
0.698 0.802 0.456
0.413 0.895 0.011
0.260 0.906 0.557
0.067 0.117 0.235
0.933 0.617 0.265
0.641 0.568 0.189
0.589 0.787 0.051
0.337 0.442 0.985
0.600 0.537 0.588
0.918 0.461 0.822
0.163 0.558 0.485
0.351 0.879 0.163
0.600 0.963 0.088
0.582 0.539 0.322
0.663 0.942 0.515
0.863 0.693 0.705
0.317 0.122 0.772
0.359 0.068 0.311
0.149 0.379 0.163
0.774 0.162 0.305
0.091 0.784 0.803
0.587 0.395 0.489
0.082 0.539 0.178
0.900 0.037 0.588
0.254 0.684 0.403
0.183 0.878 0.272
0.649 0.379 0.337
0.821 0.927 0.115
0.493 0.927 0.283
0.993 0.927 0.217
0.760 0.594 0.443
0.683 0.878 0.228
0.302 0.198 0.544
0.637 0.307 0.205
0.351 0.621 0.663
0.433 0.617 0.235
0.001 0.338 0.464
0.137 0.193 0.795
0.851 0.879 0.337
0.411 0.287 0.449
0.911 0.213 0.551
0.600 0.295 0.888
0.156 0.393 0.639
0.844 0.893 0.861
0.844 0.607 0.361
0.079 0.863 0.729
0.079 0.637 0.229
0.579 0.863 0.771
0.344 0.893 0.639
0.656 0.393 0.861
0.921 0.137 0.271
0.421 0.137 0.229
0.921 0.363 0.771
0.421 0.363 0.729
0.579 0.637 0.271
0.344 0.607 0.139
0.656 0.107 0.361
0.156 0.107 0.139
0.610 0.833 0.547
0.110 0.833 0.953
0.667 0.078 0.730
0.500 0.500 0.500
0.890 0.333 0.547
0.167 0.422 0.270
0.167 0.078 0.770
0.390 0.167 0.453
0.000 0.500 0.000
0.500 0.000 0.000
0.833 0.922 0.230
0.333 0.578 0.770
0.890 0.167 0.047
0.667 0.422 0.230
0.000 0.000 0.500
0.333 0.922 0.270
0.390 0.333 0.953
0.610 0.667 0.047
0.833 0.578 0.730
0.110 0.667 0.453
```

Raw total energy, eV per atom: -3.26
Calculated formation energy, meV per atom: -1468.1